Entry 1:
A plane-wave DFT calculation with PBE with a Hubbard U was carried out for a relaxed Mg2VWO6 crystal.

a = 5.1756 Å, b = 7.6341 Å, c = 5.5992 Å
α = 94.84°, β = 90.27°, γ = 90.53°
Positions (direct):
Mg: 0.5123 0.2834 0.9266
Mg: 0.0124 0.7837 0.4262
Mg: 0.0126 0.2786 0.4198
Mg: 0.5127 0.7788 0.9197
V: 0.5136 0.9909 0.5093
V: 0.0136 0.4909 0.0086
W: 0.5135 0.4884 0.5125
W: 0.0135 0.9883 0.0125
O: 0.2174 0.4043 0.7010
O: 0.7173 0.9049 0.2011
O: 0.3307 0.0417 0.8526
O: 0.8308 0.5421 0.3526
O: 0.8756 0.2365 0.0462
O: 0.3763 0.7368 0.5457
O: 0.3148 0.4045 0.2107
O: 0.8142 0.9047 0.7101
O: 0.1771 0.0396 0.3475
O: 0.6758 0.5394 0.8473
O: 0.6489 0.2355 0.5443
O: 0.1498 0.7361 0.0442

* E_form: -60.330 kcal/mol of atoms
* ρ: 5.716 g cm⁻³


Entry 2:
A plane-wave DFT calculation with PBE with a Hubbard U was carried out for a relaxed Ca5Ho3Ti5Mn3O24 crystal.

a = 5.3752 Å, b = 5.6169 Å, c = 15.2823 Å
α = 90.12°, β = 90.17°, γ = 90.51°
Positions (direct):
Ca: 0.0000 0.0000 0.0000
Ca: 0.0014 0.0075 0.5043
Ca: 0.4789 0.5019 0.0000
Ca: 0.4982 0.4031 0.2491
Ca: 0.9802 0.9035 0.2485
Ho: 0.4735 0.5197 0.5052
Ho: 0.5053 0.3770 0.7499
Ho: 0.9669 0.8763 0.7510
Ti: 0.4947 0.9727 0.3779
Ti: 0.4994 0.9462 0.1254
Ti: 0.9799 0.4666 0.3775
Ti: 0.9958 0.4449 0.8763
Ti: 0.9982 0.4514 0.1248
Mn: 0.4803 0.9437 0.8757
Mn: 0.4847 0.9499 0.6269
Mn: 0.9910 0.4450 0.6263
O: 0.0659 0.4712 0.2526
O: 0.1006 0.4832 0.7506
O: 0.1725 0.7515 0.8962
O: 0.1908 0.7399 0.1058
O: 0.1984 0.7314 0.4031
O: 0.2011 0.7561 0.6007
O: 0.2752 0.2435 0.1059
O: 0.2852 0.2686 0.8957
O: 0.2926 0.2692 0.6024
O: 0.2968 0.2467 0.4043
O: 0.3749 0.9815 0.7540
O: 0.4068 0.9720 0.2532
O: 0.5673 0.9232 0.0007
O: 0.5814 0.9131 0.4990
O: 0.6929 0.6634 0.1478
O: 0.6942 0.6482 0.3572
O: 0.6966 0.6325 0.6528
O: 0.6995 0.6351 0.8422
O: 0.7740 0.1599 0.1477
O: 0.7784 0.1339 0.6577
O: 0.7885 0.1494 0.3550
O: 0.7895 0.1491 0.8461
O: 0.8822 0.4196 0.5005
O: 0.9028 0.4236 0.0010

* E_form: -77.294 kcal/mol of atoms
* ρ: 5.338 g cm⁻³
* space group: P1


Question: Look up the E_form of the second one.
Answer: -77.294 kcal/mol of atoms